Material: AsOsSe
Method: DFT, PBE-GGA
State: optimized geometry

Cell: 6.140 6.173 6.255 Å, 112.61 90.00 90.00°
Sites, in units of the cell vectors:
Se 0.629 0.841 0.688
Se 0.371 0.159 0.312
Os 0.503 0.226 0.706
Os 0.497 0.774 0.294
Os 0.997 0.226 0.206
As 0.367 0.643 0.883
As 0.633 0.357 0.117
Se 0.129 0.159 0.812
As 0.867 0.357 0.617
As 0.133 0.643 0.383
Se 0.871 0.841 0.188
Os 0.003 0.774 0.794

Computed properties:
E (MP2020) in hartree per atom: -0.25154
VASP energy in eV/cell: -80.25
Formation energy in meV per atom: -384.0
Calculated volume in A^3/atom: 18.24